Record 1
LiCoPO4 | the Materials Project database | GGA+U | optimized geometry; ΔH_f (0 K) = -2.340 eV per atom
1.0
-0.089 -4.987 0.889
5.843 -1.077 -5.460
12.956 2.165 13.438
P O Co Li
8 32 8 8
Direct
0.750 0.799 0.819
0.729 0.235 0.429
0.729 0.735 0.071
0.229 0.265 0.929
0.250 0.701 0.319
0.250 0.201 0.181
0.229 0.765 0.571
0.750 0.299 0.681
0.619 0.450 0.641
0.170 0.107 0.969
0.111 0.213 0.255
0.677 0.140 0.639
0.036 0.710 0.079
0.544 0.172 0.189
0.119 0.050 0.141
0.611 0.787 0.745
0.103 0.767 0.647
0.177 0.860 0.361
0.044 0.328 0.689
0.611 0.287 0.755
0.536 0.790 0.579
0.536 0.290 0.921
0.177 0.360 0.139
0.670 0.893 0.031
0.103 0.267 0.853
0.677 0.640 0.861
0.111 0.713 0.245
0.612 0.079 0.469
0.603 0.733 0.147
0.619 0.950 0.859
0.544 0.672 0.311
0.670 0.393 0.469
0.119 0.550 0.359
0.044 0.828 0.811
0.036 0.210 0.421
0.603 0.233 0.353
0.112 0.921 0.531
0.170 0.607 0.531
0.112 0.421 0.969
0.612 0.579 0.031
0.742 0.671 0.661
0.252 0.501 0.063
0.752 0.999 0.563
0.742 0.171 0.839
0.252 0.001 0.437
0.242 0.329 0.339
0.242 0.829 0.161
0.752 0.499 0.937
0.937 0.066 0.050
0.259 0.362 0.766
0.259 0.862 0.734
0.759 0.138 0.266
0.437 0.934 0.950
0.437 0.434 0.550
0.937 0.566 0.450
0.759 0.638 0.234


Record 2
Li2Si5Ni5O16 | the Materials Project database | GGA+U | optimized geometry; ΔH_f (0 K) = -2.370 eV per atom
1.0
-3.207 3.176 -1.973
-4.569 -5.220 -0.992
-4.011 1.604 9.089
O Si Li Ni
16 5 2 5
Direct
0.771 0.249 0.064
0.624 0.053 0.340
0.230 0.763 0.944
0.735 0.242 0.565
0.658 0.751 0.117
0.265 0.796 0.432
0.121 0.172 0.381
0.303 0.566 0.652
0.354 0.264 0.882
0.850 0.754 0.606
0.724 0.435 0.340
0.805 0.450 0.831
0.293 0.953 0.670
0.797 0.061 0.841
0.209 0.549 0.165
0.213 0.933 0.185
0.333 0.741 0.099
0.685 0.259 0.909
0.304 0.988 0.336
0.797 0.233 0.407
0.180 0.766 0.593
0.340 0.503 0.338
0.817 0.997 0.143
0.196 0.516 0.847
0.697 0.498 0.644
0.192 0.013 0.856
0.690 0.000 0.662
0.817 0.496 0.152